Entry 1:
A plane-wave DFT calculation with GGA-PBE was carried out for a geometry-optimized Cr2CoSe4 structure.

Results
- Total energy: -6.19 eV/atom
- Crystal system: monoclinic
- Energy relative to the elements: -0.687 eV per atom
- V: 18.34 Å³/atom
- E above lowest polymorph: 0 meV/atom

The structure in POSCAR format:
```
Cr2CoSe4
1.0
6.302 -1.828 0.000
6.302 1.828 0.000
-3.073 0.000 5.572
Cr Co Se
2 1 4
Cartesian
2.348 0.000 1.218
7.183 0.000 4.355
4.765 0.000 2.786
0.167 0.000 2.632
4.678 0.000 0.317
4.853 0.000 5.255
9.363 0.000 2.941
```


Entry 2:
A plane-wave DFT calculation with GGA-PBE was carried out for a geometry-optimized Ho2IrPd structure.

Results
- Total energy: -6.73 eV/atom
- Crystal system: cubic
- Energy relative to the elements: -0.938 eV per atom
- V: 20.59 Å³/atom

The structure in POSCAR format:
```
Ho2IrPd
1.0
0.000 3.453 3.453
3.453 0.000 3.453
3.453 3.453 0.000
Ho Ir Pd
2 1 1
Cartesian
1.727 1.727 1.727
5.180 5.180 5.180
0.000 0.000 0.000
3.453 3.453 3.453
```


Entry 3:
A plane-wave DFT calculation with GGA-PBE was carried out for a geometry-optimized FeMo6Se8 structure.

Results
- Total energy: -7.23 eV/atom
- Crystal system: triclinic
- Energy relative to the elements: -0.719 eV per atom
- V: 21.43 Å³/atom
- E above lowest polymorph: 0 meV/atom

The structure in POSCAR format:
```
FeMo6Se8
1.0
6.843 0.000 0.000
-0.464 6.850 0.000
-0.058 -0.423 6.857
Fe Mo Se
1 6 8
Cartesian
0.000 0.000 0.000
0.189 2.321 3.179
0.252 3.705 5.604
1.465 4.668 3.381
4.784 3.487 4.056
6.014 4.486 1.917
6.055 5.865 4.317
0.982 -0.082 2.230
1.419 3.366 1.151
1.529 5.961 5.654
2.319 2.492 4.597
3.941 5.687 2.896
4.856 2.210 1.826
4.727 4.673 6.385
5.831 1.428 5.357
```


Entry 4:
A plane-wave DFT calculation with GGA-PBE was carried out for a geometry-optimized NaErO2 structure.

Results
- Total energy: -6.79 eV/atom
- Crystal system: monoclinic
- Energy relative to the elements: -3.190 eV per atom
- V: 13.59 Å³/atom

The structure in POSCAR format:
```
NaErO2
1.0
3.315 -6.579 0.000
3.315 6.579 0.000
-3.188 0.000 4.986
Na Er O
4 4 8
Cartesian
0.924 5.846 3.739
2.518 4.208 1.246
0.924 -4.208 3.739
2.518 -5.846 1.246
0.924 2.544 3.739
2.518 0.883 1.246
0.924 -0.883 3.739
2.518 -2.544 1.246
0.868 2.475 1.460
-0.568 0.836 3.963
1.026 -0.836 1.470
-0.726 -2.475 3.953
4.169 2.475 1.033
2.416 0.836 3.515
4.010 -0.836 1.023
2.575 -2.475 3.526
```


Entry 5:
A plane-wave DFT calculation with GGA-PBE was carried out for a geometry-optimized CaPrCd2 structure.

Results
- Total energy: -2.53 eV/atom
- Crystal system: cubic
- Energy relative to the elements: -0.372 eV per atom
- V: 28.90 Å³/atom

The structure in POSCAR format:
```
CaPrCd2
1.0
0.000 3.867 3.867
3.867 0.000 3.867
3.867 3.867 0.000
Ca Pr Cd
1 1 2
Cartesian
0.000 0.000 0.000
3.867 3.867 3.867
1.933 1.933 1.933
5.800 5.800 5.800
```


Entry 6:
A plane-wave DFT calculation with GGA-PBE was carried out for a geometry-optimized RhC3O3 structure.

Results
- Total energy: -7.73 eV/atom
- Crystal system: monoclinic
- Energy relative to the elements: -0.900 eV per atom
- V: 17.87 Å³/atom

The structure in POSCAR format:
```
RhC3O3
1.0
9.345 0.000 0.000
0.000 11.957 0.000
-0.247 0.000 17.908
Rh C O
16 48 48
Cartesian
0.442 2.870 6.810
0.319 3.108 15.764
2.064 2.923 4.567
1.941 3.056 13.521
2.607 1.537 15.814
2.731 4.441 6.860
2.974 1.712 6.868
2.850 4.267 15.822
6.247 7.691 2.086
6.124 10.245 11.040
6.367 7.516 11.048
6.490 10.420 2.094
7.157 8.902 4.387
7.033 9.034 13.341
8.779 8.849 2.144
8.656 9.087 11.098
0.420 1.710 5.038
0.296 4.269 13.992
0.501 7.712 1.030
0.378 10.224 9.984
0.731 7.891 11.549
0.855 10.045 2.595
1.082 2.036 12.143
1.206 3.943 3.189
1.220 1.963 17.318
1.344 4.016 8.364
2.280 6.316 6.748
2.157 11.620 15.702
2.297 6.073 15.413
2.420 11.863 6.459
3.077 1.872 3.348
2.953 4.106 12.302
3.227 1.546 8.770
3.104 4.433 17.724
3.516 1.678 13.925
3.639 4.300 4.971
4.209 1.395 16.818
4.332 4.584 7.864
4.419 7.640 2.702
4.296 10.296 11.656
4.802 1.661 6.252
4.679 4.318 15.206
4.765 7.373 10.044
4.889 10.563 1.090
5.459 7.657 12.937
5.582 10.279 3.983
5.994 7.525 0.184
5.870 10.411 9.138
6.145 7.851 5.606
6.021 10.085 14.559
6.678 0.094 11.449
6.801 5.884 2.495
6.941 0.337 2.206
6.818 5.642 11.160
7.754 7.942 9.544
7.877 9.995 0.590
7.892 8.014 14.719
8.015 9.922 5.765
8.243 1.912 15.313
8.367 4.067 6.359
8.720 1.733 7.924
8.596 4.246 16.878
8.802 7.688 3.916
8.678 10.248 12.870
0.090 6.822 4.396
-0.033 11.114 13.350
0.581 1.446 11.285
0.704 4.533 2.331
1.188 7.050 0.373
1.064 10.886 9.327
1.242 1.690 0.532
1.118 4.288 9.486
1.579 7.164 11.854
1.702 10.772 2.900
2.023 7.441 6.712
1.900 10.495 15.666
2.010 7.170 15.192
2.134 10.766 6.238
3.324 7.590 3.078
3.200 10.346 12.032
3.451 1.426 9.902
3.574 4.553 0.948
3.742 1.289 2.601
3.618 4.690 11.555
3.771 7.367 9.448
3.894 10.569 0.494
4.424 1.216 13.343
4.548 4.763 4.389
4.550 7.195 13.519
4.674 10.741 4.565
5.203 1.388 17.414
5.327 4.590 8.460
5.479 7.267 6.353
5.356 10.669 15.307
5.523 7.404 16.960
5.647 10.532 8.006
5.897 1.611 5.876
5.774 4.368 14.830
6.964 1.192 11.670
7.088 4.787 2.716
7.198 1.462 2.242
7.074 4.516 11.196
7.396 1.185 15.008
7.519 4.794 6.054
7.979 7.669 8.422
7.856 10.267 17.376
8.033 1.071 8.581
7.910 4.908 17.535
8.393 7.425 15.577
8.517 10.511 6.623
9.131 0.844 4.558
9.007 5.135 13.512
```


Entry 7:
A plane-wave DFT calculation with GGA-PBE was carried out for a geometry-optimized Sr2ZnBi2 structure.

Results
- Total energy: -3.06 eV/atom
- Crystal system: hexagonal
- Energy relative to the elements: -0.577 eV per atom
- V: 35.81 Å³/atom

The structure in POSCAR format:
```
Sr2ZnBi2
1.0
4.837 0.000 0.000
-2.418 4.189 0.000
0.000 0.000 8.837
Sr Zn Bi
2 1 2
Cartesian
0.000 0.000 1.908
0.000 0.000 6.930
2.418 1.396 4.419
0.000 2.792 4.419
2.418 1.396 0.000
```


Entry 8:
A plane-wave DFT calculation with GGA-PBE was carried out for a geometry-optimized MgTe2Mo2WSe2S2 structure.

Results
- Total energy: -6.17 eV/atom
- Crystal system: trigonal
- Energy relative to the elements: -0.495 eV per atom
- V: 36.67 Å³/atom
- E above lowest polymorph: 14 meV/atom

The structure in POSCAR format:
```
MgTe2Mo2WSe2S2
1.0
3.349 0.000 0.000
-1.674 2.900 0.000
0.000 0.000 37.769
Mg Te Mo W Se S
1 2 2 1 2 2
Cartesian
0.000 0.000 0.000
1.674 0.967 3.263
1.674 0.967 7.084
0.000 1.933 25.189
1.674 0.967 33.625
0.000 1.933 5.181
1.674 0.967 23.523
1.674 0.967 26.854
0.000 1.933 32.119
0.000 1.933 35.168
```


Look up the total energy of the fourth one. -6.79 eV/atom


Repeat the seventh record exactly.
A plane-wave DFT calculation with GGA-PBE was carried out for a geometry-optimized Sr2ZnBi2 structure.

Results
- Total energy: -3.06 eV/atom
- Crystal system: hexagonal
- Energy relative to the elements: -0.577 eV per atom
- V: 35.81 Å³/atom

The structure in POSCAR format:
```
Sr2ZnBi2
1.0
4.837 0.000 0.000
-2.418 4.189 0.000
0.000 0.000 8.837
Sr Zn Bi
2 1 2
Cartesian
0.000 0.000 1.908
0.000 0.000 6.930
2.418 1.396 4.419
0.000 2.792 4.419
2.418 1.396 0.000
```